Compound: Li9Mn2Co5O16
Source: the Materials Project
Functional: PBE with a Hubbard U
Structure: optimized geometry

Structure (extended XYZ):
```
32
Lattice="-1.970 -2.247 0.475 6.065 -4.799 6.055 -2.442 3.691 9.095" Properties=species:S:1:pos:R:3 pbc="T T T"
Li 4.840 -2.949 10.601
Li -1.602 -0.180 2.585
Li -1.962 -1.143 7.644
Li -0.760 -2.971 3.139
Li -0.381 0.156 12.346
Li 0.819 -1.666 7.824
Li 3.261 -3.174 13.040
Li 2.409 -0.375 12.493
Li 3.613 -2.213 7.972
O 0.924 -1.173 11.280
O 2.015 -3.070 6.785
O 0.485 -3.061 9.464
O 4.789 -3.591 6.923
O -1.904 -0.619 11.202
O 3.124 -3.565 9.583
O -0.430 -0.380 8.860
O 2.040 -1.745 14.143
O 0.808 -2.081 4.318
O 1.167 -0.263 6.161
O -0.403 -1.630 1.492
O -1.281 2.379 8.226
O 1.714 -4.916 4.911
O 3.540 -1.675 11.451
O -1.487 0.216 6.043
O -1.885 -1.654 4.171
Mn 3.605 -1.116 15.137
Mn 0.445 -3.707 5.782
Co 3.251 -4.257 5.922
Co -0.452 -0.849 5.129
Co -1.591 0.883 9.702
Co 1.226 0.344 9.855
Co 2.109 -2.479 10.499
```

The calculation puts the formation energy at -1.779 eV/atom. For the density, the calculation gives 4.11 g/cm³. Its space group is P1. The value obtained for the energy above the most stable polymorph in this dataset is 85 meV/atom.